# 1
Entry from Materials Project: crystalline Al2Te2Cl7 at its relaxed geometry (PBE).

Output
Volume, A^3/atom: 34.1
E_form, eV per atom: -1.581
Offset from the most stable computed form, eV/atom: 0.0000

The structure in extended XYZ format:
```
44
Lattice="9.551 0.000 0.000 0.000 11.475 0.000 -0.953 0.000 13.706" Properties=species:S:1:pos:R:3 pbc="T T T"
Al 0.932 2.036 2.803
Al 0.455 3.702 9.656
Al 2.163 6.681 4.714
Al 1.687 10.531 11.568
Al 6.911 0.944 2.139
Al 6.434 4.793 8.992
Al 8.142 7.773 4.050
Al 7.665 9.439 10.903
Te 2.190 6.481 13.012
Te 2.667 10.732 6.159
Te 3.694 1.764 6.375
Te 3.217 3.973 13.228
Te 5.380 7.501 0.478
Te 4.903 9.711 7.331
Te 5.930 0.743 7.548
Te 6.407 4.994 0.694
Cl -0.048 6.102 4.834
Cl -0.525 11.110 11.687
Cl -0.207 1.919 8.717
Cl 0.269 3.819 1.863
Cl 0.705 1.928 4.953
Cl 0.228 3.809 11.806
Cl 2.402 8.218 3.269
Cl 1.926 8.995 10.122
Cl 2.871 1.410 2.214
Cl 2.394 4.327 9.068
Cl 2.562 7.422 6.704
Cl 2.086 9.790 13.557
Cl 2.688 0.868 11.108
Cl 3.165 4.870 4.255
Cl 5.432 6.605 9.451
Cl 5.909 10.607 2.598
Cl 6.512 1.685 0.149
Cl 6.035 4.052 7.002
Cl 6.203 7.148 4.639
Cl 5.726 10.065 11.492
Cl 6.672 2.480 3.584
Cl 6.195 3.257 10.437
Cl 8.369 7.666 1.900
Cl 7.893 9.546 8.753
Cl 8.328 7.656 11.843
Cl 8.805 9.556 4.990
Cl 9.122 0.365 2.020
Cl 8.645 5.373 8.873
```

# 2
Entry from Materials Project: crystalline La4Al at its relaxed geometry (PBE).

Output
Volume, A^3/atom: 39.2
E_form, eV per atom: 0.410

The structure in extended XYZ format:
```
10
Lattice="0.000 5.810 5.810 5.810 0.000 5.810 5.810 5.810 0.000" Properties=species:S:1:pos:R:3 pbc="T T T"
La 8.940 5.584 5.584
La 2.680 2.680 2.680
La 6.035 6.035 2.680
La 6.035 2.680 6.035
La 5.584 8.940 5.584
La 5.584 5.584 8.940
La 8.940 8.940 8.940
La 2.680 6.035 6.035
Al 4.357 4.357 4.357
Al 7.262 7.262 7.262
```

# 3
Entry from Materials Project: crystalline HfSnO3 at its relaxed geometry (PBE).

Output
Volume, A^3/atom: 17.4
E_form, eV per atom: -2.995

The structure in extended XYZ format:
```
10
Lattice="2.725 1.573 6.760 -2.725 1.573 6.760 0.000 -3.147 6.760" Properties=species:S:1:pos:R:3 pbc="T T T"
Hf 0.000 0.000 3.386
Hf 0.000 0.000 16.894
Sn 0.000 0.000 7.930
Sn 0.000 0.000 12.350
O -0.948 -1.648 9.028
O -1.901 -0.003 11.252
O -0.953 1.645 9.028
O 0.953 -1.645 11.252
O 1.901 0.003 9.028
O 0.948 1.648 11.252
```

# 4
Entry from Materials Project: crystalline Ca4ErB3O10 at its relaxed geometry (PBE).

Output
Volume, A^3/atom: 12.6
E_form, eV per atom: -3.394

The structure in extended XYZ format:
```
18
Lattice="4.065 -8.050 0.000 4.065 8.050 0.000 -0.687 0.000 3.478" Properties=species:S:1:pos:R:3 pbc="T T T"
Ca 4.065 6.247 0.000
Ca 2.630 2.933 2.336
Ca 2.630 -2.933 2.336
Ca 4.065 -6.247 0.000
Er 4.967 0.000 1.132
B 1.764 0.000 2.183
B 5.472 3.119 0.859
B 5.472 -3.119 0.859
O 2.555 5.273 1.544
O 1.094 1.199 2.019
O 1.094 -1.199 2.019
O 5.435 4.324 0.184
O 4.367 2.256 0.865
O 3.121 0.000 2.511
O 2.555 -5.273 1.544
O 4.367 -2.256 0.865
O 5.941 0.000 3.141
O 5.435 -4.324 0.184
```

# 5
Entry from Materials Project: crystalline ZnAs2Pb2O9 at its relaxed geometry (PBE).

Output
Volume, A^3/atom: 14.4
E_form, eV per atom: -1.565

The structure in extended XYZ format:
```
28
Lattice="8.155 0.000 0.000 0.000 5.871 0.000 -3.636 0.000 8.394" Properties=species:S:1:pos:R:3 pbc="T T T"
Zn 0.000 0.000 0.000
Zn 0.000 2.935 0.000
As -2.197 1.468 5.461
As 2.838 4.403 1.382
As 1.681 1.468 7.012
As 6.716 4.403 2.933
Pb -0.446 4.403 6.177
Pb 1.149 1.468 2.965
Pb 3.370 4.403 5.429
Pb 4.965 1.468 2.217
O -2.206 0.030 6.474
O -2.206 2.906 6.474
O -0.829 1.468 4.506
O 0.895 1.468 0.770
O 1.137 4.403 1.140
O 0.002 4.403 3.932
O 0.116 4.403 8.331
O 1.333 0.049 6.054
O 1.333 2.887 6.054
O 3.186 2.984 2.340
O 3.186 5.822 2.340
O 4.403 1.468 0.063
O 4.517 1.468 4.462
O 3.382 1.468 7.255
O 3.624 4.403 7.624
O 5.348 4.403 3.888
O 6.725 2.965 1.920
O 6.725 5.841 1.920
```

# 6
Entry from Materials Project: crystalline MgAl6O10 at its relaxed geometry (PBE).

Output
Volume, A^3/atom: 9.6
E_form, eV per atom: -3.365
Offset from the most stable computed form, eV/atom: 0.0097

The structure in extended XYZ format:
```
68
Lattice="4.936 -2.865 0.000 4.936 2.865 0.000 -3.339 0.000 23.150" Properties=species:S:1:pos:R:3 pbc="T T T"
Mg 0.000 0.000 0.000
Mg 0.040 0.000 3.621
Mg -0.030 0.000 17.101
Mg 3.255 0.000 21.957
Al 2.465 1.447 1.743
Al -0.128 0.000 8.569
Al -1.655 0.000 20.167
Al 0.768 1.405 20.167
Al -0.036 0.000 13.884
Al 2.436 1.428 15.412
Al -0.042 0.000 22.558
Al 1.648 0.000 11.020
Al 4.065 1.398 11.031
Al 3.229 0.000 4.663
Al 5.753 1.441 6.373
Al 3.331 0.000 8.083
Al 2.465 -1.447 1.743
Al 4.962 0.000 1.745
Al 3.251 0.000 18.375
Al 0.768 -1.405 20.167
Al 2.436 -1.428 15.412
Al 4.895 0.000 15.408
Al 6.666 0.000 4.095
Al 6.497 0.000 9.187
Al 4.065 -1.398 11.031
Al 6.556 0.000 12.523
Al 6.545 0.000 17.729
Al 5.753 -1.441 6.373
O -0.779 1.282 21.241
O -1.888 0.000 16.600
O 0.891 1.618 16.599
O 2.308 1.443 5.100
O 0.112 0.000 5.503
O -0.043 0.000 12.057
O 2.449 1.414 11.956
O 1.839 0.000 0.582
O 4.025 1.265 0.579
O 2.386 1.508 19.006
O 1.589 0.000 7.575
O -0.038 0.000 19.130
O 4.255 1.418 7.622
O 3.301 0.000 2.771
O 1.608 0.000 14.574
O 4.082 1.435 14.571
O 5.838 1.290 2.758
O 5.665 1.550 9.891
O -0.779 -1.282 21.241
O 1.436 0.000 21.241
O 3.259 0.000 9.950
O 2.308 -1.443 5.100
O 3.254 0.000 16.593
O 4.999 0.000 5.195
O 0.891 -1.618 16.599
O 4.025 -1.265 0.579
O 2.449 -1.414 11.956
O 4.887 0.000 11.957
O 6.602 0.000 0.702
O 6.463 0.000 7.428
O 4.983 0.000 19.007
O 2.386 -1.508 19.006
O 4.255 -1.418 7.622
O 5.838 -1.290 2.758
O 8.097 0.000 2.779
O 6.550 0.000 14.381
O 4.082 -1.435 14.571
O 6.539 0.000 21.070
O 8.283 0.000 9.848
O 5.665 -1.550 9.891
```

Question: What is the formula in the first record?
Answer: Al2Te2Cl7